Record 1
Compound: NaLa2OsO6
Source: the Materials Project database
Functional: PBE
Structure: optimized geometry

Structure (POSCAR):
```
NaLa2OsO6
1.0
-0.046 6.008 0.468
-3.189 -0.387 4.654
3.579 -0.685 9.147
O Os La Na
12 2 4 2
Direct
0.950 0.387 0.729 O
0.674 0.160 0.051 O
0.826 0.160 0.551 O
0.278 0.266 0.568 O
0.778 0.734 0.932 O
0.450 0.613 0.771 O
0.050 0.613 0.271 O
0.326 0.840 0.949 O
0.174 0.840 0.449 O
0.222 0.266 0.068 O
0.550 0.387 0.229 O
0.722 0.734 0.432 O
0.000 0.500 0.500 Os
0.500 0.500 0.000 Os
0.433 0.772 0.247 La
0.567 0.228 0.753 La
0.933 0.228 0.253 La
0.067 0.772 0.747 La
0.000 0.000 0.000 Na
0.500 0.000 0.500 Na
```

Values from the calculation:
V   13.9 Å³ per atom
Total DFT energy (no corrections)   -7.6124 eV per atom
Energy of formation   -28.1 eV/f.u.

***

Record 2
Compound: NaLaP4O12
Source: the Materials Project database
Functional: PBE
Structure: optimized geometry

Structure (POSCAR):
```
NaLaP4O12
1.0
13.422 0.000 0.000
0.000 7.360 0.000
0.000 7.308 10.184
O Na P La
48 4 16 4
Direct
0.340 0.657 0.087 O
0.840 0.343 0.413 O
0.391 0.187 0.597 O
0.520 0.651 0.138 O
0.855 0.086 0.102 O
0.920 0.698 0.211 O
0.891 0.813 0.903 O
0.389 0.634 0.293 O
0.660 0.343 0.913 O
0.366 0.519 0.661 O
0.379 0.095 0.830 O
0.686 0.787 0.845 O
0.420 0.302 0.289 O
0.205 0.312 0.398 O
0.986 0.929 0.284 O
0.134 0.519 0.161 O
0.480 0.349 0.862 O
0.314 0.213 0.155 O
0.795 0.688 0.602 O
0.355 0.914 0.398 O
0.705 0.688 0.102 O
0.295 0.312 0.898 O
0.634 0.481 0.339 O
0.020 0.349 0.362 O
0.866 0.481 0.839 O
0.111 0.634 0.793 O
0.163 0.801 0.294 O
0.980 0.651 0.638 O
0.121 0.095 0.330 O
0.486 0.071 0.216 O
0.611 0.366 0.707 O
0.080 0.302 0.789 O
0.514 0.929 0.784 O
0.160 0.657 0.587 O
0.014 0.071 0.716 O
0.879 0.905 0.670 O
0.889 0.366 0.207 O
0.580 0.698 0.711 O
0.109 0.187 0.097 O
0.621 0.905 0.170 O
0.814 0.787 0.345 O
0.663 0.199 0.206 O
0.609 0.813 0.403 O
0.145 0.914 0.898 O
0.186 0.213 0.655 O
0.337 0.801 0.794 O
0.837 0.199 0.706 O
0.645 0.086 0.602 O
0.721 0.065 0.435 Na
0.779 0.065 0.935 Na
0.221 0.935 0.065 Na
0.279 0.935 0.565 Na
0.374 0.337 0.805 P
0.400 0.006 0.742 P
0.874 0.663 0.695 P
0.600 0.994 0.258 P
0.886 0.884 0.234 P
0.900 0.994 0.758 P
0.114 0.116 0.766 P
0.410 0.571 0.200 P
0.386 0.116 0.266 P
0.626 0.663 0.195 P
0.614 0.884 0.734 P
0.100 0.006 0.242 P
0.910 0.429 0.300 P
0.126 0.337 0.305 P
0.590 0.429 0.800 P
0.090 0.571 0.700 P
0.780 0.465 0.022 La
0.220 0.535 0.978 La
0.720 0.465 0.522 La
0.280 0.535 0.478 La
```

Values from the calculation:
V   14.0 Å³ per atom
Total DFT energy (no corrections)   -7.3112 eV per atom
Energy of formation   -52.6 eV/f.u.

***

Record 3
Compound: Na3La2P3O12
Source: the Materials Project database
Functional: PBE
Structure: optimized geometry

Structure (POSCAR):
```
Na3La2P3O12
1.0
-4.939 -7.790 -2.669
9.298 -0.762 2.272
-5.624 -3.934 22.964
La O Na P
12 72 18 18
Direct
0.329 0.668 0.319 La
0.647 0.323 0.681 La
0.332 0.671 0.819 La
0.024 0.012 0.652 La
0.657 0.346 0.986 La
0.344 0.652 0.514 La
0.348 0.656 0.014 La
0.677 0.353 0.181 La
0.986 0.978 0.348 La
0.022 0.014 0.848 La
0.654 0.343 0.486 La
0.988 0.976 0.152 La
0.656 0.123 0.136 O
0.865 0.325 0.531 O
0.459 0.114 0.626 O
0.352 0.865 0.251 O
0.167 0.177 0.414 O
0.988 0.198 0.302 O
0.324 0.493 0.748 O
0.178 0.978 0.580 O
0.004 0.780 0.696 O
0.644 0.509 0.252 O
0.794 0.994 0.697 O
0.432 0.333 0.146 O
0.320 0.446 0.459 O
0.331 0.882 0.979 O
0.675 0.552 0.540 O
0.448 0.325 0.040 O
0.984 0.180 0.917 O
0.689 0.156 0.747 O
0.428 0.098 0.521 O
0.469 0.317 0.413 O
0.654 0.153 0.418 O
0.135 0.648 0.751 O
0.569 0.670 0.854 O
0.548 0.893 0.365 O
0.675 0.135 0.031 O
0.507 0.676 0.248 O
0.557 0.887 0.471 O
0.488 0.138 0.920 O
0.512 0.866 0.082 O
0.022 0.822 0.080 O
0.347 0.872 0.874 O
0.483 0.167 0.250 O
0.554 0.680 0.959 O
0.862 0.512 0.420 O
0.222 0.006 0.302 O
0.844 0.311 0.247 O
0.975 0.176 0.585 O
0.026 0.824 0.419 O
0.833 0.517 0.750 O
0.006 0.206 0.197 O
0.824 0.025 0.085 O
0.802 0.012 0.802 O
0.834 0.821 0.585 O
0.113 0.443 0.971 O
0.348 0.845 0.581 O
0.491 0.356 0.752 O
0.533 0.688 0.587 O
0.330 0.431 0.354 O
0.155 0.465 0.250 O
0.823 0.833 0.914 O
0.128 0.653 0.374 O
0.820 0.016 0.417 O
0.877 0.344 0.636 O
0.767 0.777 0.198 O
0.667 0.568 0.646 O
0.766 0.770 0.304 O
0.179 0.166 0.085 O
0.535 0.845 0.750 O
0.994 0.778 0.802 O
0.847 0.346 0.918 O
0.223 0.233 0.698 O
0.220 0.996 0.196 O
0.134 0.488 0.582 O
0.230 0.234 0.804 O
0.107 0.452 0.865 O
0.176 0.974 0.919 O
0.312 0.467 0.087 O
0.118 0.669 0.479 O
0.683 0.531 0.913 O
0.902 0.572 0.021 O
0.886 0.541 0.126 O
0.155 0.652 0.081 O
0.991 0.359 0.750 Na
0.680 0.369 0.334 Na
0.968 0.304 0.417 Na
0.696 0.032 0.917 Na
0.030 0.689 0.582 Na
0.631 0.320 0.834 Na
0.023 0.328 0.083 Na
0.336 0.027 0.419 Na
0.000 0.000 0.500 Na
0.334 0.667 0.667 Na
0.000 0.000 0.000 Na
0.646 0.647 0.750 Na
0.672 0.977 0.583 Na
0.641 0.009 0.250 Na
0.973 0.664 0.919 Na
0.333 0.666 0.167 Na
0.311 0.970 0.082 Na
0.353 0.354 0.250 Na
0.965 0.333 0.584 P
0.677 0.655 0.590 P
0.999 0.298 0.249 P
0.655 0.677 0.909 P
0.702 0.001 0.749 P
0.015 0.356 0.918 P
0.317 0.327 0.751 P
0.317 0.008 0.250 P
0.992 0.683 0.750 P
0.336 0.969 0.924 P
0.354 0.010 0.576 P
0.673 0.683 0.251 P
0.990 0.646 0.076 P
0.031 0.664 0.424 P
0.345 0.323 0.090 P
0.667 0.035 0.084 P
0.644 0.985 0.418 P
0.323 0.345 0.409 P
```

Values from the calculation:
V   16.0 Å³ per atom
Total DFT energy (no corrections)   -7.1285 eV per atom
Energy of formation   -61.4 eV/f.u.

***

Record 4
Compound: Na3La2P3O12
Source: the Materials Project database
Functional: PBE
Structure: optimized geometry

Structure (POSCAR):
```
Na3La2P3O12
1.0
-7.800 13.978 4.425
-8.172 -3.414 -3.622
0.855 -7.903 5.520
Na O P La
12 48 12 8
Direct
0.501 0.902 0.235 Na
0.742 0.730 0.495 Na
0.742 0.270 0.995 Na
0.311 0.434 0.192 Na
0.001 0.598 0.735 Na
0.242 0.770 0.995 Na
0.501 0.098 0.735 Na
0.242 0.230 0.495 Na
0.811 0.934 0.192 Na
0.001 0.402 0.235 Na
0.311 0.566 0.692 Na
0.811 0.066 0.692 Na
0.409 0.657 0.222 O
0.272 0.830 0.768 O
0.055 0.361 0.602 O
0.361 0.830 0.628 O
0.672 0.136 0.422 O
0.440 0.526 0.574 O
0.456 0.131 0.441 O
0.672 0.864 0.922 O
0.071 0.167 0.252 O
0.456 0.869 0.941 O
0.909 0.157 0.222 O
0.040 0.972 0.393 O
0.861 0.330 0.628 O
0.772 0.330 0.768 O
0.861 0.670 0.128 O
0.956 0.369 0.941 O
0.571 0.667 0.252 O
0.239 0.358 0.736 O
0.661 0.076 0.759 O
0.343 0.059 0.735 O
0.940 0.026 0.574 O
0.172 0.636 0.422 O
0.272 0.170 0.268 O
0.409 0.343 0.722 O
0.055 0.639 0.102 O
0.940 0.974 0.074 O
0.739 0.142 0.236 O
0.161 0.576 0.759 O
0.843 0.559 0.735 O
0.239 0.642 0.236 O
0.161 0.424 0.259 O
0.040 0.028 0.893 O
0.440 0.474 0.074 O
0.909 0.843 0.722 O
0.540 0.472 0.393 O
0.071 0.833 0.752 O
0.739 0.858 0.736 O
0.772 0.670 0.268 O
0.343 0.941 0.235 O
0.540 0.528 0.893 O
0.661 0.924 0.259 O
0.172 0.364 0.922 O
0.571 0.333 0.752 O
0.555 0.861 0.602 O
0.956 0.631 0.441 O
0.843 0.441 0.235 O
0.361 0.170 0.128 O
0.555 0.139 0.102 O
0.491 0.434 0.734 P
0.857 0.399 0.769 P
0.157 0.587 0.254 P
0.491 0.566 0.234 P
0.157 0.413 0.754 P
0.857 0.601 0.269 P
0.991 0.934 0.734 P
0.991 0.066 0.234 P
0.657 0.087 0.254 P
0.657 0.913 0.754 P
0.357 0.899 0.769 P
0.357 0.101 0.269 P
0.900 0.250 0.446 La
0.400 0.750 0.446 La
0.103 0.233 0.045 La
0.400 0.250 0.946 La
0.603 0.733 0.045 La
0.603 0.267 0.545 La
0.103 0.767 0.545 La
0.900 0.750 0.946 La
```

Values from the calculation:
V   15.7 Å³ per atom
Total DFT energy (no corrections)   -7.1289 eV per atom
Energy of formation   -61.4 eV/f.u.

***

Record 5
Compound: Na2LaPS2O7
Source: the Materials Project database
Functional: PBE
Structure: optimized geometry

Structure (POSCAR):
```
Na2LaPS2O7
1.0
5.427 0.000 0.000
0.000 9.825 0.000
0.000 0.534 14.913
O La P Na S
28 4 4 8 8
Direct
0.297 0.388 0.890 O
0.768 0.601 0.606 O
0.231 0.625 0.114 O
0.672 0.448 0.406 O
0.518 0.346 0.746 O
0.982 0.846 0.746 O
0.328 0.552 0.594 O
0.488 0.841 0.130 O
0.172 0.052 0.594 O
0.769 0.375 0.886 O
0.482 0.654 0.254 O
0.526 0.213 0.415 O
0.732 0.101 0.606 O
0.269 0.125 0.114 O
0.268 0.899 0.394 O
0.731 0.875 0.886 O
0.988 0.659 0.870 O
0.232 0.399 0.394 O
0.974 0.713 0.415 O
0.474 0.787 0.585 O
0.012 0.341 0.130 O
0.797 0.112 0.110 O
0.203 0.888 0.890 O
0.512 0.159 0.870 O
0.018 0.154 0.254 O
0.026 0.287 0.585 O
0.703 0.612 0.110 O
0.828 0.948 0.406 O
0.468 0.971 0.779 La
0.968 0.529 0.221 La
0.532 0.029 0.221 La
0.032 0.471 0.779 La
0.024 0.185 0.150 P
0.476 0.685 0.150 P
0.524 0.315 0.850 P
0.976 0.815 0.850 P
0.501 0.680 0.402 Na
0.500 0.000 0.000 Na
0.001 0.820 0.598 Na
0.000 0.500 0.500 Na
0.999 0.180 0.402 Na
0.000 0.500 0.000 Na
0.500 0.000 0.500 Na
0.499 0.320 0.598 Na
0.015 0.160 0.761 S
0.485 0.660 0.761 S
0.514 0.649 0.629 S
0.486 0.351 0.371 S
0.985 0.840 0.239 S
0.515 0.340 0.239 S
0.014 0.851 0.371 S
0.986 0.149 0.629 S
```

Values from the calculation:
V   15.3 Å³ per atom
Total DFT energy (no corrections)   -6.3651 eV per atom
Energy of formation   -31.7 eV/f.u.